Entry 1:
Entry from Materials Project: a relaxed Ca2GaClO8 crystal (PBE-GGA).

M_tot: 0.17 μB per atom
energy of formation: -916 meV/atom
E (MP2020): -0.3642 Ry/atom

Lattice parameters (Å, degrees): 7.2201 7.2201 7.2201 50.93 50.93 50.93
With the nearest neighbours (Å) after each atom.
Sites, in units of the cell vectors:
Ca 0.1920 0.1920 0.1920  7 O 2.39-2.47
Ca 0.8080 0.8080 0.8080  7 O 2.39-2.47
Ga 0.5000 0.5000 0.5000  6 O 1.97
Cl 0.0000 0.0000 0.0000  6 O 3.13
O 0.1896 0.7694 0.4196  1 Ga 1.97
O 0.2306 0.5804 0.8104  1 Ga 1.97
O 0.3234 0.3234 0.3234  1 Ca 2.47
O 0.4196 0.1896 0.7694  1 Ga 1.97
O 0.5804 0.8104 0.2306  1 Ga 1.97
O 0.6766 0.6766 0.6766  1 Ca 2.47
O 0.7694 0.4196 0.1896  1 Ga 1.97
O 0.8104 0.2306 0.5804  1 Ga 1.97


Entry 2:
Entry from Materials Project: a relaxed Ca2LaGeS4Cl3 crystal (PBE-GGA).

M_tot: 0.00 μB per atom
energy of formation: -2118 meV/atom
E (MP2020): -0.3939 Ry/atom

Lattice parameters (Å, degrees): 9.8554 9.8554 6.3958 90.00 90.00 121.47
With the nearest neighbours (Å) after each atom.
Sites, in units of the cell vectors:
Ca 0.1255 0.3062 0.0000  3 Cl 2.77-2.85, 3 S 2.84-2.96
Ca 0.3062 0.1255 0.5000  3 Cl 2.77-2.85, 3 S 2.84-2.96
Ca 0.6938 0.8745 0.0000  3 Cl 2.77-2.85, 3 S 2.84-2.96
Ca 0.8745 0.6938 0.5000  3 Cl 2.77-2.85, 3 S 2.84-2.96
La 0.3120 0.6880 0.4999  3 Cl 2.85-2.88, 3 S 2.88-2.95
La 0.6880 0.3120 0.9999  3 Cl 2.85-2.88, 3 S 2.88-2.95
Ge 0.1639 0.8361 0.9248  4 S 2.22-2.26
Ge 0.8361 0.1639 0.4248  4 S 2.22-2.26
S 0.0405 0.5904 0.7845  1 Ge 2.25
S 0.0457 0.9543 0.7835  1 Ge 2.22
S 0.1661 0.8339 0.2780  1 Ge 2.26
S 0.4096 0.9595 0.7845  1 Ge 2.25
S 0.5904 0.0405 0.2845  1 Ge 2.25
S 0.8339 0.1661 0.7780  1 Ge 2.26
S 0.9543 0.0457 0.2835  1 Ge 2.22
S 0.9595 0.4096 0.2845  1 Ge 2.25
Cl 0.2550 0.3774 0.6015  2 Ca 2.77-2.85, 1 La 2.88
Cl 0.3774 0.2550 0.1015  2 Ca 2.77-2.85, 1 La 2.88
Cl 0.3782 0.6218 0.0921  1 La 2.85, 2 Ca 2.85
Cl 0.6218 0.3782 0.5921  1 La 2.85, 2 Ca 2.85
Cl 0.6226 0.7450 0.6015  2 Ca 2.77-2.85, 1 La 2.88
Cl 0.7450 0.6226 0.1015  2 Ca 2.77-2.85, 1 La 2.88


Entry 3:
Entry from Materials Project: a relaxed Ca3GeCl2O4 crystal (PBE-GGA).

M_tot: 0.00 μB per atom
energy of formation: -2798 meV/atom
E (MP2020): -0.4565 Ry/atom

Lattice parameters (Å, degrees): 11.7868 10.4475 5.7655 90.00 90.00 90.00
With the nearest neighbours (Å) after each atom.
Sites, in units of the cell vectors:
Ca 0.0403 0.2500 0.1020  3 O 2.29-2.41
Ca 0.1633 0.5803 0.3828  3 O 2.30-2.39
Ca 0.1633 0.9197 0.3828  3 O 2.30-2.39
Ca 0.3367 0.0803 0.8828  3 O 2.30-2.39
Ca 0.3367 0.4197 0.8828  3 O 2.30-2.39
Ca 0.4597 0.7500 0.6020  3 O 2.29-2.41
Ca 0.5403 0.2500 0.3980  3 O 2.29-2.41
Ca 0.6633 0.5803 0.1172  3 O 2.30-2.39
Ca 0.6633 0.9197 0.1172  3 O 2.30-2.39
Ca 0.8367 0.0803 0.6172  3 O 2.30-2.39
Ca 0.8367 0.4197 0.6172  3 O 2.30-2.39
Ca 0.9597 0.7500 0.8980  3 O 2.29-2.41
Ge 0.2214 0.7500 0.8218  4 O 1.77-1.80
Ge 0.2786 0.2500 0.3218  4 O 1.77-1.80
Ge 0.7214 0.7500 0.6782  4 O 1.77-1.80
Ge 0.7786 0.2500 0.1782  4 O 1.77-1.80
Cl 0.0701 0.0674 0.7485  3 Ca 2.81-2.86
Cl 0.0701 0.4326 0.7485  3 Ca 2.81-2.86
Cl 0.4299 0.5674 0.2485  3 Ca 2.81-2.86
Cl 0.4299 0.9326 0.2485  3 Ca 2.81-2.86
Cl 0.5701 0.0674 0.7515  3 Ca 2.81-2.86
Cl 0.5701 0.4326 0.7515  3 Ca 2.81-2.86
Cl 0.9299 0.5674 0.2515  3 Ca 2.81-2.86
Cl 0.9299 0.9326 0.2515  3 Ca 2.81-2.86
O 0.1022 0.7500 0.6275  1 Ge 1.80
O 0.1645 0.7500 0.1059  1 Ge 1.77
O 0.1967 0.1175 0.2215  1 Ge 1.78
O 0.1967 0.3825 0.2215  1 Ge 1.78
O 0.3033 0.6175 0.7215  1 Ge 1.78
O 0.3033 0.8825 0.7215  1 Ge 1.78
O 0.3355 0.2500 0.6059  1 Ge 1.77
O 0.3978 0.2500 0.1275  1 Ge 1.80
O 0.6022 0.7500 0.8725  1 Ge 1.80
O 0.6645 0.7500 0.3941  1 Ge 1.77
O 0.6967 0.1175 0.2785  1 Ge 1.78
O 0.6967 0.3825 0.2785  1 Ge 1.78
O 0.8033 0.6175 0.7785  1 Ge 1.78
O 0.8033 0.8825 0.7785  1 Ge 1.78
O 0.8355 0.2500 0.8941  1 Ge 1.77
O 0.8978 0.2500 0.3725  1 Ge 1.80


Entry 4:
Entry from Materials Project: a relaxed Ca7H12Cl2 crystal (PBE-GGA).

piezoelectric modulus e_max: 0.2 C/m²
energy of formation: -885 meV/atom
E (MP2020): -0.2696 Ry/atom

Lattice parameters (Å, degrees): 9.3261 9.3261 3.6836 90.00 90.00 120.00
With the nearest neighbours (Å) after each atom.
Sites, in units of the cell vectors:
Ca 0.0000 0.0000 0.0000  3 H 2.23
Ca 0.1144 0.7181 0.5000  7 H 2.30-2.40
Ca 0.2819 0.3963 0.5000  7 H 2.30-2.40
Ca 0.4104 0.1051 0.0000  5 H 2.24-2.36
Ca 0.6037 0.8856 0.5000  7 H 2.30-2.40
Ca 0.6947 0.5896 0.0000  5 H 2.24-2.36
Ca 0.8949 0.3053 0.0000  5 H 2.24-2.36
H 0.0482 0.4388 0.5000  4 Ca 2.28-2.40
H 0.1183 0.2755 0.0000  4 Ca 2.23-2.30
H 0.1571 0.8817 0.0000  4 Ca 2.23-2.30
H 0.2149 0.1124 0.5000  5 Ca 2.40-2.62, 2 H 2.67
H 0.3906 0.9518 0.5000  4 Ca 2.28-2.40
H 0.4232 0.3646 0.0000  4 Ca 2.35-2.37, 1 H 2.53
H 0.5612 0.6094 0.5000  4 Ca 2.28-2.40
H 0.6354 0.0586 0.0000  4 Ca 2.35-2.37, 1 H 2.53
H 0.7245 0.8429 0.0000  4 Ca 2.23-2.30
H 0.8876 0.1025 0.5000  5 Ca 2.40-2.62, 2 H 2.67
H 0.8975 0.7851 0.5000  5 Ca 2.40-2.62, 2 H 2.67
H 0.9414 0.5768 0.0000  4 Ca 2.35-2.37, 1 H 2.53
Cl 0.3333 0.6667 0.0000  6 Ca 2.96, 9 H 3.05-3.16
Cl 0.6667 0.3333 0.5000  6 Ca 2.92, 9 H 3.05-3.18


Entry 5:
Entry from Materials Project: a relaxed CaHCl crystal (PBE-GGA).

energy of formation: -1698 meV/atom
E (MP2020): -0.3023 Ry/atom

Lattice parameters (Å, degrees): 3.8367 3.8367 6.9344 90.00 90.00 90.00
With the nearest neighbours (Å) after each atom.
Sites, in units of the cell vectors:
Ca 0.2500 0.2500 0.1909  4 H 2.33
Ca 0.7500 0.7500 0.8091  4 H 2.33
H 0.2500 0.7500 0.0000  4 Ca 2.33
H 0.7500 0.2500 0.0000  4 Ca 2.33
Cl 0.2500 0.2500 0.6535  5 Ca 2.92-3.21, 4 H 3.07
Cl 0.7500 0.7500 0.3465  5 Ca 2.92-3.21, 4 H 3.07


Entry 6:
Entry from Materials Project: a relaxed CaMg2H24Cl6O12 crystal (PBE-GGA).

energy of formation: -1436 meV/atom
E (MP2020): -0.3621 Ry/atom
ΔE to the lowest computed polymorph: 0 meV/atom

Lattice parameters (Å, degrees): 8.3746 8.3746 8.3746 75.49 75.49 75.49
With the nearest neighbours (Å) after each atom.
Sites, in units of the cell vectors:
Ca 0.0000 0.0000 0.0000  6 Cl 2.84
Mg 0.3227 0.3227 0.3227  6 O 2.07-2.09
Mg 0.6773 0.6773 0.6773  6 O 2.07-2.09
H 0.0589 0.3893 0.1638  1 O 0.99
H 0.0788 0.1617 0.5346  1 O 0.99
H 0.1617 0.5346 0.0788  1 O 0.99
H 0.1638 0.0589 0.3893  1 O 0.99
H 0.1813 0.5749 0.4984  1 O 0.98
H 0.2092 0.4061 0.6372  1 O 0.98
H 0.3628 0.7908 0.5939  1 O 0.98
H 0.3893 0.1638 0.0589  1 O 0.99
H 0.4061 0.6372 0.2092  1 O 0.98
H 0.4251 0.5016 0.8187  1 O 0.98
H 0.4654 0.9212 0.8383  1 O 0.99
H 0.4984 0.1813 0.5749  1 O 0.98
H 0.5016 0.8187 0.4251  1 O 0.98
H 0.5346 0.0788 0.1617  1 O 0.99
H 0.5749 0.4984 0.1813  1 O 0.98
H 0.5939 0.3628 0.7908  1 O 0.98
H 0.6107 0.8362 0.9411  1 O 0.99
H 0.6372 0.2092 0.4061  1 O 0.98
H 0.7908 0.5939 0.3628  1 O 0.98
H 0.8187 0.4251 0.5016  1 O 0.98
H 0.8362 0.9411 0.6107  1 O 0.99
H 0.8383 0.4654 0.9212  1 O 0.99
H 0.9212 0.8383 0.4654  1 O 0.99
H 0.9411 0.6107 0.8362  1 O 0.99
Cl 0.1550 0.7244 0.8369  3 H 2.23-2.37
Cl 0.1631 0.8450 0.2756  3 H 2.23-2.37
Cl 0.2756 0.1631 0.8450  3 H 2.23-2.37
Cl 0.7244 0.8369 0.1550  3 H 2.23-2.37
Cl 0.8369 0.1550 0.7244  3 H 2.23-2.37
Cl 0.8450 0.2756 0.1631  3 H 2.23-2.37
O 0.1417 0.4461 0.1804  2 H 0.99
O 0.1804 0.1417 0.4461  2 H 0.99
O 0.2041 0.4520 0.5184  2 H 0.98
O 0.4461 0.1804 0.1417  2 H 0.99
O 0.4520 0.5184 0.2041  2 H 0.98
O 0.4816 0.7959 0.5480  2 H 0.98
O 0.5184 0.2041 0.4520  2 H 0.98
O 0.5480 0.4816 0.7959  2 H 0.98
O 0.5539 0.8196 0.8583  2 H 0.99
O 0.7959 0.5480 0.4816  2 H 0.98
O 0.8196 0.8583 0.5539  2 H 0.99
O 0.8583 0.5539 0.8196  2 H 0.99


Entry 7:
Entry from Materials Project: a relaxed CaH8Cl2O4 crystal (PBE-GGA).

energy of formation: -1486 meV/atom
E (MP2020): -0.3672 Ry/atom
ΔE to the lowest computed polymorph: 15 meV/atom

Lattice parameters (Å, degrees): 6.4271 6.5156 8.5920 92.39 97.86 110.41
With the nearest neighbours (Å) after each atom.
Sites, in units of the cell vectors:
Ca 0.0116 0.3770 0.2440  4 O 2.34-2.51
Ca 0.9884 0.6230 0.7560  4 O 2.34-2.51
H 0.1886 0.8261 0.4230  1 O 0.99
H 0.2314 0.2770 0.9785  1 O 0.99
H 0.2430 0.0981 0.0960  1 O 0.99
H 0.2980 0.0375 0.6651  1 O 0.99
H 0.2982 0.3995 0.6807  1 O 0.99
H 0.3484 0.7066 0.4900  1 O 0.99
H 0.4068 0.0462 0.8412  1 O 0.98
H 0.4415 0.5778 0.8229  1 O 0.99
H 0.5585 0.4222 0.1771  1 O 0.99
H 0.5932 0.9538 0.1588  1 O 0.98
H 0.6516 0.2934 0.5100  1 O 0.99
H 0.7018 0.6005 0.3193  1 O 0.99
H 0.7020 0.9625 0.3349  1 O 0.99
H 0.7570 0.9019 0.9040  1 O 0.99
H 0.7686 0.7230 0.0215  1 O 0.99
H 0.8114 0.1739 0.5770  1 O 0.99
Cl 0.2287 0.7576 0.0791  2 H 2.19-2.23
Cl 0.2958 0.2094 0.4547  4 H 2.14-2.34
Cl 0.7042 0.7906 0.5453  4 H 2.14-2.34
Cl 0.7713 0.2424 0.9209  2 H 2.19-2.23
O 0.1869 0.6817 0.4542  2 H 0.99
O 0.2605 0.2553 0.0911  2 H 0.99
O 0.2695 0.9706 0.7651  2 H 0.98-0.99
O 0.2867 0.4772 0.7784  2 H 0.99
O 0.7133 0.5228 0.2216  2 H 0.99
O 0.7305 0.0294 0.2349  2 H 0.98-0.99
O 0.7395 0.7447 0.9089  2 H 0.99
O 0.8131 0.3183 0.5458  2 H 0.99


Entry 8:
Entry from Materials Project: a relaxed CaHClO crystal (PBE-GGA).

piezoelectric modulus e_max: 0.9 C/m²
energy of formation: -2302 meV/atom
E (MP2020): -0.3932 Ry/atom

Lattice parameters (Å, degrees): 3.8981 3.8981 9.8935 90.00 90.00 120.00
With the nearest neighbours (Å) after each atom.
Sites, in units of the cell vectors:
Ca 0.3333 0.6667 0.0000  3 O 2.35
Ca 0.6667 0.3333 0.5000  3 O 2.35
H 0.0000 0.0000 0.1656  1 O 0.97
H 0.0000 0.0000 0.6656  1 O 0.97
Cl 0.3333 0.6667 0.3167  3 H 2.70, 3 Ca 2.89
Cl 0.6667 0.3333 0.8167  3 H 2.70, 3 Ca 2.89
O 0.0000 0.0000 0.0672  1 H 0.97
O 0.0000 0.0000 0.5672  1 H 0.97


What did the sixth record say?
Entry from Materials Project: a relaxed CaMg2H24Cl6O12 crystal (PBE-GGA).

energy of formation: -1436 meV/atom
E (MP2020): -0.3621 Ry/atom
ΔE to the lowest computed polymorph: 0 meV/atom

Lattice parameters (Å, degrees): 8.3746 8.3746 8.3746 75.49 75.49 75.49
With the nearest neighbours (Å) after each atom.
Sites, in units of the cell vectors:
Ca 0.0000 0.0000 0.0000  6 Cl 2.84
Mg 0.3227 0.3227 0.3227  6 O 2.07-2.09
Mg 0.6773 0.6773 0.6773  6 O 2.07-2.09
H 0.0589 0.3893 0.1638  1 O 0.99
H 0.0788 0.1617 0.5346  1 O 0.99
H 0.1617 0.5346 0.0788  1 O 0.99
H 0.1638 0.0589 0.3893  1 O 0.99
H 0.1813 0.5749 0.4984  1 O 0.98
H 0.2092 0.4061 0.6372  1 O 0.98
H 0.3628 0.7908 0.5939  1 O 0.98
H 0.3893 0.1638 0.0589  1 O 0.99
H 0.4061 0.6372 0.2092  1 O 0.98
H 0.4251 0.5016 0.8187  1 O 0.98
H 0.4654 0.9212 0.8383  1 O 0.99
H 0.4984 0.1813 0.5749  1 O 0.98
H 0.5016 0.8187 0.4251  1 O 0.98
H 0.5346 0.0788 0.1617  1 O 0.99
H 0.5749 0.4984 0.1813  1 O 0.98
H 0.5939 0.3628 0.7908  1 O 0.98
H 0.6107 0.8362 0.9411  1 O 0.99
H 0.6372 0.2092 0.4061  1 O 0.98
H 0.7908 0.5939 0.3628  1 O 0.98
H 0.8187 0.4251 0.5016  1 O 0.98
H 0.8362 0.9411 0.6107  1 O 0.99
H 0.8383 0.4654 0.9212  1 O 0.99
H 0.9212 0.8383 0.4654  1 O 0.99
H 0.9411 0.6107 0.8362  1 O 0.99
Cl 0.1550 0.7244 0.8369  3 H 2.23-2.37
Cl 0.1631 0.8450 0.2756  3 H 2.23-2.37
Cl 0.2756 0.1631 0.8450  3 H 2.23-2.37
Cl 0.7244 0.8369 0.1550  3 H 2.23-2.37
Cl 0.8369 0.1550 0.7244  3 H 2.23-2.37
Cl 0.8450 0.2756 0.1631  3 H 2.23-2.37
O 0.1417 0.4461 0.1804  2 H 0.99
O 0.1804 0.1417 0.4461  2 H 0.99
O 0.2041 0.4520 0.5184  2 H 0.98
O 0.4461 0.1804 0.1417  2 H 0.99
O 0.4520 0.5184 0.2041  2 H 0.98
O 0.4816 0.7959 0.5480  2 H 0.98
O 0.5184 0.2041 0.4520  2 H 0.98
O 0.5480 0.4816 0.7959  2 H 0.98
O 0.5539 0.8196 0.8583  2 H 0.99
O 0.7959 0.5480 0.4816  2 H 0.98
O 0.8196 0.8583 0.5539  2 H 0.99
O 0.8583 0.5539 0.8196  2 H 0.99